! MnI2O6, relaxed, DFT r²SCAN; values from VASP
! space group = P2_1/c
! energy relative to the elements = -6.9 eV/f.u.
! magnetic moment = 20.0 μB per cell
! theoretical density = 4.854 Mg/m³
&SYSTEM
  ibrav = 0, nat = 36, ntyp = 3
/
ATOMIC_SPECIES
Mn 54.94 Mn.upf
I 126.90 I.upf
O 16.00 O.upf
ATOMIC_POSITIONS crystal
Mn 0.1273 0.0935 0.4193
Mn 0.1273 0.4065 0.9193
Mn 0.8727 0.5935 0.0807
Mn 0.8727 0.9065 0.5807
I 0.2392 0.0808 0.9863
I 0.2392 0.4192 0.4863
I 0.3504 0.7127 0.0747
I 0.3504 0.7873 0.5747
I 0.6496 0.2127 0.4253
I 0.6496 0.2873 0.9253
I 0.7608 0.5808 0.5137
I 0.7608 0.9192 0.0137
O 0.0336 0.5346 0.3450
O 0.0336 0.9654 0.8450
O 0.0582 0.2163 0.9117
O 0.0582 0.2837 0.4117
O 0.1497 0.5830 0.0230
O 0.1497 0.9170 0.5230
O 0.3894 0.1018 0.8596
O 0.3894 0.3982 0.3596
O 0.4134 0.1180 0.3961
O 0.4134 0.3820 0.8961
O 0.4350 0.7268 0.3066
O 0.4350 0.7732 0.8066
O 0.5650 0.2268 0.1934
O 0.5650 0.2732 0.6934
O 0.5866 0.6180 0.1039
O 0.5866 0.8820 0.6039
O 0.6106 0.6018 0.6404
O 0.6106 0.8982 0.1404
O 0.8503 0.0830 0.4770
O 0.8503 0.4170 0.9770
O 0.9418 0.7163 0.5883
O 0.9418 0.7837 0.0883
O 0.9664 0.0346 0.1550
O 0.9664 0.4654 0.6550
CELL_PARAMETERS angstrom
6.6968 0.0000 0.0000
0.0000 10.9259 0.0000
-4.1451 0.0000 7.5689

=====

! MnI2O6, relaxed, DFT r²SCAN; values from VASP
! space group = P2_12_12_1
! energy relative to the elements = -7.0 eV/f.u.
! magnetic moment = 20.0 μB per cell
! theoretical density = 5.078 Mg/m³
&SYSTEM
  ibrav = 0, nat = 36, ntyp = 3
/
ATOMIC_SPECIES
Mn 54.94 Mn.upf
I 126.90 I.upf
O 16.00 O.upf
ATOMIC_POSITIONS crystal
Mn 0.2056 0.1698 0.0922
Mn 0.2944 0.8302 0.5922
Mn 0.7056 0.3302 0.9078
Mn 0.7944 0.6698 0.4078
I 0.0344 0.8591 0.9232
I 0.2495 0.7243 0.2918
I 0.2505 0.2757 0.7918
I 0.4656 0.1409 0.4232
I 0.5344 0.6409 0.0768
I 0.7495 0.7757 0.7082
I 0.7505 0.2243 0.2082
I 0.9656 0.3591 0.5768
O 0.0201 0.0332 0.2040
O 0.0324 0.4692 0.8415
O 0.0564 0.6085 0.5161
O 0.1088 0.4968 0.6635
O 0.1266 0.8781 0.3783
O 0.2346 0.1779 0.5491
O 0.2654 0.8221 0.0491
O 0.3734 0.1219 0.8783
O 0.3912 0.5032 0.1635
O 0.4436 0.3915 0.0161
O 0.4676 0.5308 0.3415
O 0.4799 0.9668 0.7040
O 0.5201 0.4668 0.7960
O 0.5324 0.0308 0.1585
O 0.5564 0.8915 0.4839
O 0.6088 0.0032 0.3365
O 0.6266 0.6219 0.6217
O 0.7346 0.3221 0.4509
O 0.7654 0.6779 0.9509
O 0.8734 0.3781 0.1217
O 0.8912 0.9968 0.8365
O 0.9436 0.1085 0.9839
O 0.9676 0.9692 0.6585
O 0.9799 0.5332 0.2960
CELL_PARAMETERS angstrom
5.3841 0.0000 0.0000
0.0000 5.7509 0.0000
0.0000 0.0000 17.0997

=====

! MnI2O6, relaxed, DFT r²SCAN; values from VASP
! space group = P2_1
! energy relative to the elements = -7.2 eV/f.u.
! magnetic moment = 10.0 μB per cell
! theoretical density = 4.927 Mg/m³
&SYSTEM
  ibrav = 0, nat = 18, ntyp = 3
/
ATOMIC_SPECIES
Mn 54.94 Mn.upf
I 126.90 I.upf
O 16.00 O.upf
ATOMIC_POSITIONS crystal
Mn 0.2337 0.0000 0.2444
Mn 0.7663 0.5000 0.7556
I 0.2618 0.5653 0.5672
I 0.2670 0.0808 0.8996
I 0.7330 0.5808 0.1004
I 0.7382 0.0653 0.4328
O 0.0104 0.2347 0.3799
O 0.0945 0.2821 0.7785
O 0.1524 0.2150 0.0609
O 0.3366 0.7751 0.4205
O 0.4544 0.7664 0.1065
O 0.4615 0.7253 0.6914
O 0.5385 0.2253 0.3086
O 0.5456 0.2664 0.8935
O 0.6634 0.2751 0.5795
O 0.8476 0.7150 0.9391
O 0.9055 0.7821 0.2215
O 0.9896 0.7347 0.6201
CELL_PARAMETERS angstrom
5.6094 0.0000 0.0000
0.0000 5.0306 0.0000
-0.0442 0.0000 9.6676

=====

! Mn3Sb5I3O9, relaxed, DFT r²SCAN; values from VASP
! space group = P-1
! energy relative to the elements = -29.2 eV/f.u.
! magnetic moment = 30.0 μB per cell
! theoretical density = 5.149 Mg/m³
&SYSTEM
  ibrav = 0, nat = 40, ntyp = 4
/
ATOMIC_SPECIES
Mn 54.94 Mn.upf
Sb 121.76 Sb.upf
I 126.90 I.upf
O 16.00 O.upf
ATOMIC_POSITIONS crystal
Mn 0.0235 0.4697 0.1287
Mn 0.2909 0.5104 0.6478
Mn 0.3877 0.4092 0.9325
Mn 0.6123 0.5908 0.0675
Mn 0.7091 0.4896 0.3522
Mn 0.9765 0.5303 0.8713
Sb 0.1175 0.3161 0.4999
Sb 0.1891 0.7702 0.9818
Sb 0.2036 0.1764 0.7975
Sb 0.2482 0.6584 0.2567
Sb 0.4715 0.2847 0.2435
Sb 0.5285 0.7153 0.7565
Sb 0.7518 0.3416 0.7433
Sb 0.7964 0.8236 0.2025
Sb 0.8109 0.2298 0.0182
Sb 0.8825 0.6839 0.5001
I 0.0980 0.8283 0.6852
I 0.2822 0.1381 0.0768
I 0.4915 0.8004 0.4218
I 0.5085 0.1996 0.5782
I 0.7178 0.8619 0.9232
I 0.9020 0.1717 0.3148
O 0.0349 0.7533 0.1365
O 0.0709 0.2684 0.6584
O 0.1380 0.5303 0.5179
O 0.1469 0.5633 0.9805
O 0.2232 0.4464 0.2308
O 0.2235 0.3900 0.8039
O 0.3578 0.6985 0.1058
O 0.4362 0.6445 0.9064
O 0.4972 0.4750 0.2919
O 0.5028 0.5250 0.7081
O 0.5638 0.3555 0.0936
O 0.6422 0.3015 0.8942
O 0.7765 0.6100 0.1961
O 0.7768 0.5536 0.7692
O 0.8531 0.4367 0.0195
O 0.8620 0.4697 0.4821
O 0.9291 0.7316 0.3416
O 0.9651 0.2467 0.8635
CELL_PARAMETERS angstrom
8.1837 0.0000 0.0000
2.9547 8.4315 0.0000
1.0258 2.3249 12.1352

=====

! Te10Mo3I10, relaxed, DFT r²SCAN; values from VASP
! space group = P-1
! energy relative to the elements = -6.0 eV/f.u.
! magnetic moment = 0.0 μB per cell
! theoretical density = 4.841 Mg/m³
&SYSTEM
  ibrav = 0, nat = 46, ntyp = 3
/
ATOMIC_SPECIES
Te 127.60 Te.upf
Mo 95.94 Mo.upf
I 126.90 I.upf
ATOMIC_POSITIONS crystal
Te 0.0342 0.2500 0.3598
Te 0.1037 0.4632 0.3215
Te 0.1621 0.4686 0.1273
Te 0.2193 0.9882 0.2186
Te 0.3150 0.0666 0.8554
Te 0.3233 0.9704 0.3999
Te 0.3767 0.0713 0.0999
Te 0.4251 0.3445 0.4283
Te 0.4422 0.2632 0.2255
Te 0.4492 0.9735 0.6265
Te 0.5508 0.0265 0.3735
Te 0.5578 0.7368 0.7745
Te 0.5749 0.6555 0.5717
Te 0.6233 0.9287 0.9001
Te 0.6767 0.0296 0.6001
Te 0.6850 0.9334 0.1446
Te 0.7807 0.0118 0.7814
Te 0.8379 0.5314 0.8727
Te 0.8963 0.5368 0.6785
Te 0.9658 0.7500 0.6402
Mo 0.2107 0.2423 0.2208
Mo 0.2941 0.2255 0.3607
Mo 0.4361 0.0228 0.2504
Mo 0.5639 0.9772 0.7496
Mo 0.7059 0.7745 0.6393
Mo 0.7893 0.7577 0.7792
I 0.0210 0.6833 0.8501
I 0.0380 0.9446 0.3866
I 0.1089 0.1181 0.7773
I 0.1886 0.2833 0.5250
I 0.2721 0.8531 0.9453
I 0.2823 0.6163 0.4267
I 0.2961 0.3982 0.9757
I 0.3225 0.6078 0.1512
I 0.3363 0.6536 0.6779
I 0.4255 0.2629 0.7636
I 0.5745 0.7371 0.2364
I 0.6637 0.3464 0.3221
I 0.6775 0.3922 0.8488
I 0.7039 0.6018 0.0243
I 0.7177 0.3837 0.5733
I 0.7279 0.1469 0.0547
I 0.8114 0.7167 0.4750
I 0.8911 0.8819 0.2227
I 0.9620 0.0554 0.6134
I 0.9790 0.3167 0.1499
CELL_PARAMETERS angstrom
11.0091 0.0000 0.0000
4.2674 10.1666 0.0000
4.2727 0.1401 17.3635

=====

! Sr2IN, relaxed, DFT r²SCAN; values from VASP
! space group = R-3m
! energy relative to the elements = -5.2 eV/f.u.
! magnetic moment = 0.0 μB per cell
! theoretical density = 4.832 Mg/m³
&SYSTEM
  ibrav = 0, nat = 4, ntyp = 3
/
ATOMIC_SPECIES
Sr 87.62 Sr.upf
I 126.90 I.upf
N 14.01 N.upf
ATOMIC_POSITIONS crystal
Sr 0.2233 0.2233 0.2233
Sr 0.7767 0.7767 0.7767
I 0.0000 0.0000 0.0000
N 0.5000 0.5000 0.5000
CELL_PARAMETERS angstrom
2.0111 1.1611 7.7542
-2.0111 1.1611 7.7542
0.0000 -2.3222 7.7542

=====

! ThIN, relaxed, DFT r²SCAN; values from VASP
! space group = P4/nmm
! energy relative to the elements = -6.2 eV/f.u.
! magnetic moment = 0.0 μB per cell
! theoretical density = 7.653 Mg/m³
&SYSTEM
  ibrav = 0, nat = 6, ntyp = 3
/
ATOMIC_SPECIES
Th 232.04 Th.upf
I 126.90 I.upf
N 14.01 N.upf
ATOMIC_POSITIONS crystal
Th 0.2500 0.2500 0.1193
Th 0.7500 0.7500 0.8807
I 0.2500 0.2500 0.6708
I 0.7500 0.7500 0.3292
N 0.2500 0.7500 0.0000
N 0.7500 0.2500 0.0000
CELL_PARAMETERS angstrom
4.1206 0.0000 0.0000
0.0000 4.1206 0.0000
0.0000 0.0000 9.5318

=====

! UIN, relaxed, DFT r²SCAN; values from VASP
! space group = P4/nmm
! energy relative to the elements = -5.0 eV/f.u.
! magnetic moment = 4.0 μB per cell
! theoretical density = 8.039 Mg/m³
&SYSTEM
  ibrav = 0, nat = 6, ntyp = 3
/
ATOMIC_SPECIES
U 238.03 U.upf
I 126.90 I.upf
N 14.01 N.upf
ATOMIC_POSITIONS crystal
U 0.2500 0.2500 0.1124
U 0.7500 0.7500 0.8876
I 0.2500 0.2500 0.6917
I 0.7500 0.7500 0.3083
N 0.2500 0.7500 0.0000
N 0.7500 0.2500 0.0000
CELL_PARAMETERS angstrom
3.9257 0.0000 0.0000
0.0000 3.9257 0.0000
0.0000 0.0000 10.1581

=====

! ZrIN, relaxed, DFT r²SCAN; values from VASP
! space group = Pmmn
! energy relative to the elements = -5.0 eV/f.u.
! magnetic moment = 0.0 μB per cell
! theoretical density = 5.137 Mg/m³
&SYSTEM
  ibrav = 0, nat = 6, ntyp = 3
/
ATOMIC_SPECIES
Zr 91.22 Zr.upf
I 126.90 I.upf
N 14.01 N.upf
ATOMIC_POSITIONS crystal
Zr 0.2500 0.2500 0.0880
Zr 0.7500 0.7500 0.9120
I 0.2500 0.7500 0.6739
I 0.7500 0.2500 0.3261
N 0.2500 0.7500 0.0240
N 0.7500 0.2500 0.9760
CELL_PARAMETERS angstrom
3.7551 0.0000 0.0000
0.0000 4.1185 0.0000
0.0000 0.0000 9.7043

=====

! NaPb2IO6, relaxed, DFT r²SCAN; values from VASP
! space group = P2_1/c
! energy relative to the elements = -11.2 eV/f.u.
! magnetic moment = 0.0 μB per cell
! theoretical density = 7.841 Mg/m³
&SYSTEM
  ibrav = 0, nat = 20, ntyp = 4
/
ATOMIC_SPECIES
Na 22.99 Na.upf
Pb 207.20 Pb.upf
I 126.90 I.upf
O 16.00 O.upf
ATOMIC_POSITIONS crystal
Na 0.0000 0.0000 0.0000
Na 0.0000 0.5000 0.5000
Pb 0.2643 0.0139 0.7574
Pb 0.2643 0.4861 0.2574
Pb 0.7357 0.5139 0.7426
Pb 0.7357 0.9861 0.2426
I 0.5000 0.0000 0.5000
I 0.5000 0.5000 0.0000
O 0.2092 0.0317 0.2787
O 0.2092 0.4683 0.7787
O 0.3220 0.2105 0.5547
O 0.3220 0.2895 0.0547
O 0.3276 0.7427 0.5229
O 0.3276 0.7573 0.0229
O 0.6724 0.2427 0.9771
O 0.6724 0.2573 0.4771
O 0.6780 0.7105 0.9453
O 0.6780 0.7895 0.4453
O 0.7908 0.5317 0.2213
O 0.7908 0.9683 0.7213
CELL_PARAMETERS angstrom
5.9900 0.0000 0.0000
0.0000 5.6881 0.0000
-5.8695 0.0000 8.2081

=====

! NaSr2IO6, relaxed, DFT r²SCAN; values from VASP
! space group = P2_1/c
! energy relative to the elements = -20.3 eV/f.u.
! magnetic moment = 0.0 μB per cell
! theoretical density = 5.159 Mg/m³
&SYSTEM
  ibrav = 0, nat = 20, ntyp = 4
/
ATOMIC_SPECIES
Na 22.99 Na.upf
Sr 87.62 Sr.upf
I 126.90 I.upf
O 16.00 O.upf
ATOMIC_POSITIONS crystal
Na 0.0000 0.0000 0.0000
Na 0.0000 0.5000 0.5000
Sr 0.2564 0.0364 0.7493
Sr 0.2564 0.4636 0.2493
Sr 0.7436 0.5364 0.7507
Sr 0.7436 0.9636 0.2507
I 0.5000 0.0000 0.5000
I 0.5000 0.5000 0.0000
O 0.2056 0.0200 0.2750
O 0.2056 0.4800 0.7750
O 0.2733 0.6898 0.0335
O 0.2733 0.8102 0.5335
O 0.3539 0.2389 0.0394
O 0.3539 0.2611 0.5394
O 0.6461 0.7389 0.4606
O 0.6461 0.7611 0.9606
O 0.7267 0.1898 0.4665
O 0.7267 0.3102 0.9665
O 0.7944 0.5200 0.2250
O 0.7944 0.9800 0.7250
CELL_PARAMETERS angstrom
5.7500 0.0000 0.0000
0.0000 5.8017 0.0000
-5.7449 0.0000 8.1271

=====

! NaSc2I6, relaxed, DFT r²SCAN; values from VASP
! space group = P31c
! energy relative to the elements = -12.9 eV/f.u.
! magnetic moment = 0.0 μB per cell
! theoretical density = 4.152 Mg/m³
&SYSTEM
  ibrav = 0, nat = 18, ntyp = 3
/
ATOMIC_SPECIES
Na 22.99 Na.upf
Sc 44.96 Sc.upf
I 126.90 I.upf
ATOMIC_POSITIONS crystal
Na 0.3333 0.6667 0.0000
Na 0.6667 0.3333 0.5000
Sc 0.0000 0.0000 0.0118
Sc 0.0000 0.0000 0.2507
Sc 0.0000 0.0000 0.5118
Sc 0.0000 0.0000 0.7507
I 0.0082 0.6898 0.6318
I 0.0126 0.3125 0.3808
I 0.2998 0.9874 0.3808
I 0.3102 0.3184 0.6318
I 0.3125 0.0126 0.8808
I 0.3184 0.3102 0.1318
I 0.6816 0.9918 0.6318
I 0.6875 0.7002 0.3808
I 0.6898 0.0082 0.1318
I 0.7002 0.6875 0.8808
I 0.9874 0.2998 0.8808
I 0.9918 0.6816 0.1318
CELL_PARAMETERS angstrom
7.6543 0.0000 0.0000
-3.8272 6.6288 0.0000
0.0000 0.0000 13.7832